Compound: LiVSiO4
Source: the Materials Project
Functional: PBE+U
Structure: relaxed

```
28
Lattice="5.630 0.000 0.000 1.768 6.145 0.000 1.577 1.931 8.998" Properties=species:S:1:pos:R:3 pbc="T T T"
Li 1.529 0.983 1.240
Li 4.575 7.231 7.013
Li 4.400 0.845 1.985
Li 7.446 7.093 7.758
V 2.474 2.879 3.829
V 3.657 4.168 7.143
V 5.318 3.908 1.855
V 6.501 5.197 5.169
Si 2.266 4.315 0.859
Si 3.941 5.751 4.161
Si 5.034 2.325 4.837
Si 6.709 3.761 8.139
O 1.766 3.116 1.913
O 2.569 4.878 4.018
O 2.469 2.818 8.092
O 1.942 1.047 3.489
O 3.980 5.732 8.314
O 3.650 5.037 1.321
O 3.615 2.892 5.528
O 4.453 5.643 5.750
O 4.522 2.433 3.248
O 5.360 5.184 3.470
O 5.325 3.039 7.676
O 4.995 2.344 0.683
O 7.033 7.029 5.509
O 6.506 5.258 0.906
O 6.406 3.198 4.980
O 7.209 4.960 7.085
```

Values from the calculation:
space group: P-1
distance to the lowest polymorph of the same formula: 0.542 eV/f.u.
formation energy: -266.5 kJ/mol of atoms